Record 1
MoWSeS3: relaxed, PBE-GGA.

energy of formation from the pure elements	-1.017	eV/atom
calculated total energy	-7.38	eV/atom
symmetry	P3m1, No. 156
energy above the lowest structure with this stoichiometry	17	meV/atom

The structure in extended XYZ format:
```
12
Lattice="1.611 -2.790 0.000 1.611 2.790 0.000 0.000 0.000 36.345" Properties=species:S:1:pos:R:3 pbc="T T T"
Mo 0.000 0.000 3.413
S 1.611 0.930 4.966
W 1.611 0.930 10.242
Se 0.000 0.000 25.618
S 1.611 0.930 15.518
W 1.611 0.930 23.899
S 0.000 0.000 11.801
S 1.611 0.930 1.860
Se 0.000 0.000 22.180
S 1.611 0.930 18.621
Mo 0.000 0.000 17.069
S 0.000 0.000 8.683
```



Record 2
TiCuS4: relaxed, PBE-GGA.

energy of formation from the pure elements	-0.676	eV/atom
calculated total energy	-5.10	eV/atom
symmetry	Imma, No. 74

The structure in extended XYZ format:
```
12
Lattice="6.500 1.438 -1.942 0.841 3.403 5.983 -2.097 -6.608 0.138" Properties=species:S:1:pos:R:3 pbc="T T T"
Cu -0.466 -3.514 2.093
S 0.848 -2.024 1.027
S 4.396 0.256 3.152
S 3.942 -1.371 0.091
S 1.302 -0.397 4.088
S 2.285 2.901 4.104
Ti 2.201 -2.585 -0.902
S 1.814 1.129 0.963
Cu 5.710 1.747 2.087
S 3.430 -2.897 3.216
S 2.959 -4.669 0.075
Ti 0.000 0.000 0.000
```



Record 3
Ce3Th4O14: relaxed, PBE-GGA.

energy of formation from the pure elements	-4.173	eV/atom
calculated total energy	-9.27	eV/atom
symmetry	C2/m, No. 12

The structure in extended XYZ format:
```
21
Lattice="-6.654 -0.467 1.350 -3.387 -1.059 5.808 -1.326 8.433 2.092" Properties=species:S:1:pos:R:3 pbc="T T T"
Ce -5.256 5.373 4.567
Th -3.060 0.760 2.344
O -6.822 1.769 6.952
O -4.883 3.309 5.717
O -6.484 3.599 3.533
O -8.440 2.062 4.745
Th -9.184 2.301 7.038
Th -8.307 6.148 6.906
O -3.789 0.990 4.643
O -5.653 7.423 3.395
Ce 0.000 0.000 0.000
O -4.017 7.127 5.626
O -5.714 -0.516 5.855
O -7.578 5.917 4.607
O -5.424 1.287 2.413
O -2.927 4.845 4.505
O -4.545 5.139 2.298
O -5.943 5.621 6.837
Ce -6.111 1.534 4.683
Th -2.183 4.606 2.212
O -7.350 -0.220 3.624
```



Record 4
Na2Zr3Zn5S12O48: relaxed, PBE-GGA.

energy of formation from the pure elements	-2.154	eV/atom
calculated total energy	-6.28	eV/atom
symmetry	P1, No. 1

The structure in extended XYZ format:
```
210
Lattice="-2.550 14.160 10.124 -4.217 -7.507 1.786 17.281 -6.492 13.463" Properties=species:S:1:pos:R:3 pbc="T T T"
O 2.575 -2.693 3.113
Zn 13.471 2.892 22.223
O 4.448 2.803 13.795
O 5.859 0.793 9.190
O -2.206 8.562 12.259
O 2.163 0.831 11.691
O 9.426 0.854 17.627
S 14.157 -8.522 13.176
S -0.467 -0.337 3.598
O 5.816 -4.029 13.571
O 13.450 3.550 20.214
O 5.947 -2.591 11.676
O 12.709 -8.390 13.120
O 0.873 -3.085 7.393
S -0.740 5.160 13.291
S 12.921 -1.375 18.217
O 0.598 1.820 14.182
O 6.097 -2.942 6.797
O -2.268 5.336 13.229
S 8.101 5.602 14.943
S 10.762 7.190 18.696
O 11.897 -0.523 22.045
O 8.659 -1.908 17.263
O 5.267 2.152 16.561
S 12.100 0.074 13.718
S 5.290 3.389 17.475
O 7.942 -1.392 9.672
O 11.290 -6.472 17.859
O -2.497 5.452 8.715
O -1.196 -1.628 3.713
O 6.910 -6.291 15.226
S 3.091 -0.251 12.010
O 1.192 4.352 8.193
S 0.582 10.280 14.039
O 0.950 2.749 5.342
O 9.491 -2.598 20.044
O 1.722 7.580 11.066
O 7.719 -6.438 9.258
S 7.466 0.452 13.248
O 9.588 -2.855 15.210
O 6.538 -4.934 11.480
O -1.345 0.763 3.244
O -4.297 7.405 12.697
O 2.246 -4.028 5.072
S 0.400 -1.979 8.199
O 5.798 -7.734 11.069
S -0.193 -7.057 6.641
O -0.361 4.987 14.700
O 7.593 -0.409 19.475
O 2.932 0.564 5.929
O 6.939 8.915 18.251
O 9.678 3.251 18.052
O 5.627 0.779 20.168
Zr 4.513 1.060 15.029
O 0.751 2.747 16.452
O 5.019 -7.120 8.258
O 13.197 -7.624 16.975
O 7.369 -3.470 15.996
Zr 7.959 1.114 23.373
Zn -0.329 8.062 11.499
O 5.164 -1.898 8.808
O 3.760 -0.046 13.323
O 11.386 -11.969 14.901
Zn 6.163 -0.965 10.474
S 10.053 -3.722 20.789
Na 2.226 7.175 13.557
O 13.331 -1.669 19.665
O 11.013 -3.828 13.003
O 1.888 -5.304 9.036
S 6.251 7.613 18.304
O 14.607 -8.732 14.613
S 9.405 -1.523 9.813
O 10.739 -6.220 12.618
S 1.027 1.591 15.566
O -0.968 1.377 7.154
O 11.695 1.875 21.649
Zn 4.823 6.181 15.603
O 12.069 4.518 22.473
O 3.792 -5.633 10.544
Zn 14.648 -4.124 17.191
O 0.482 -5.779 6.528
Zn 9.492 -0.848 18.816
O 0.199 -0.110 4.925
O 4.854 -0.684 5.247
S 11.310 -4.977 12.116
O 14.836 -7.259 12.747
O -0.938 -7.339 5.368
O 1.015 2.993 10.182
S 8.786 -3.101 16.428
O 1.871 2.032 8.126
O -3.109 0.282 7.583
Na 3.705 -0.056 8.567
O 2.770 6.622 15.996
O 8.596 4.472 14.095
O 12.842 -5.108 12.154
O 4.706 4.153 11.849
O 8.346 4.188 20.309
S -3.653 8.629 12.103
O 11.577 1.998 17.334
S 10.957 0.605 21.688
O 9.725 2.355 15.790
O 8.016 -3.485 12.687
S 5.180 -3.109 7.948
O 4.070 -0.425 10.927
S 0.347 3.926 4.601
O 3.381 -6.356 6.618
S 7.426 4.025 21.459
O 10.299 0.348 20.416
Zr -4.175 5.651 13.852
Na 8.663 -3.251 6.759
O 3.621 -8.734 7.177
O 6.694 3.603 17.815
O 11.472 -1.236 18.143
O 14.712 -3.537 15.166
O -0.747 1.264 11.619
O -0.128 6.406 12.788
O -4.136 8.776 10.734
Zr 9.937 2.863 13.803
Zr 0.982 1.022 6.521
S 6.616 -3.706 12.347
O 9.380 -4.248 17.139
O 7.109 6.502 18.707
O -3.003 -3.402 5.174
O 7.981 2.810 22.227
Zn 13.381 1.582 16.494
O 5.718 -4.270 8.754
O 11.473 -3.362 21.246
Na 10.842 3.903 20.171
S -1.676 6.732 8.640
O 2.315 -1.548 12.156
O 12.975 -5.229 16.587
O 4.670 4.482 16.709
O -1.043 -1.785 8.093
O -0.718 6.567 7.518
O 10.204 -4.955 19.984
O 11.535 -6.744 15.422
O 1.973 10.584 14.405
O 10.067 5.901 18.911
O 0.824 -2.119 9.634
Zr 0.671 -2.710 11.676
Na 15.904 0.624 18.526
O -1.606 -4.383 2.823
O 10.742 -9.620 15.029
Zn 8.283 4.851 18.290
O 4.537 -0.670 16.148
O -2.873 1.708 5.667
O 12.727 -10.460 16.175
O 6.416 0.630 14.318
O 0.397 5.126 5.430
O 3.587 6.367 10.182
O 1.920 -4.329 11.258
Zr -2.910 -2.781 3.145
Zn 7.055 -11.737 10.570
Zn 9.605 -2.232 13.160
S 11.295 -10.750 15.757
O 9.965 0.650 22.811
Zr 5.818 -6.062 9.880
O 8.823 -7.446 14.383
O -2.241 -0.161 10.423
O 1.105 -0.693 7.745
S 10.108 2.089 17.245
O -0.444 4.009 12.444
O -1.022 6.885 9.940
S -2.477 1.492 7.057
O 8.324 -0.658 13.646
O -2.590 7.829 8.286
O 3.877 5.179 13.882
O 8.604 -10.431 10.923
O 13.664 -0.153 17.845
Zn 0.839 2.406 12.228
Zn 1.296 6.138 7.177
O -1.022 3.615 4.197
O 3.794 -3.384 7.536
O 3.222 3.587 9.318
O 5.555 7.414 17.021
O 12.749 0.305 15.020
S -0.891 10.879 9.638
O 10.003 -8.987 12.232
Zn 3.547 11.837 14.854
S 12.196 -6.482 16.696
O 9.866 -1.655 11.194
O 0.594 -0.498 2.581
O 6.808 0.307 11.951
Zn 10.735 -7.874 13.797
O -0.240 9.772 10.327
O 13.332 -2.535 17.390
O -0.827 12.124 10.492
O 8.232 1.738 13.232
O 0.572 9.093 13.162
O -2.824 2.675 7.898
Zn 2.266 -4.683 7.039
O 4.430 3.080 18.630
O 4.610 7.857 14.268
O 9.845 -2.616 8.927
O -4.300 3.701 10.204
O 2.472 3.661 12.642
S 1.786 3.292 9.000
O 10.890 -4.750 10.734
O 11.322 -1.181 13.809
O 11.435 7.497 20.052
O -2.292 10.676 9.289
S 3.833 3.959 13.076
O 8.569 5.463 16.315
O 2.541 1.415 15.595
S 2.314 -5.528 10.419
Zr -4.155 4.318 8.198
S 4.313 -7.443 6.950
S -1.560 0.057 11.707
O 6.655 5.696 14.768
Na 12.052 -3.161 15.171
```



Record 5
MgCuCO5: relaxed, PBE-GGA.

energy of formation from the pure elements	-1.588	eV/atom
calculated total energy	-6.12	eV/atom
symmetry	P2_1/c, No. 14

The structure in extended XYZ format:
```
32
Lattice="8.702 0.000 0.000 0.000 3.411 0.000 0.000 1.461 12.456" Properties=species:S:1:pos:R:3 pbc="T T T"
Mg 6.778 2.941 7.560
C 6.307 3.409 10.752
Mg 1.924 1.930 4.896
O 1.239 4.355 11.167
O 1.351 2.352 9.102
O 3.000 1.622 2.874
Cu 0.050 4.512 9.759
O 7.462 0.517 1.290
O 7.750 1.231 8.244
O 3.271 2.272 7.940
Cu 4.401 1.090 8.926
O 5.590 1.247 7.518
O 3.023 1.334 0.631
O 5.678 3.537 11.825
O 5.303 0.501 2.015
O 0.952 3.640 4.213
O 1.328 2.065 6.859
Cu 4.301 3.782 3.531
O 5.702 3.250 9.582
O 7.374 2.807 5.597
O 3.399 4.371 10.441
Mg 6.275 2.211 1.332
Cu 8.651 0.359 2.698
O 7.350 2.519 3.354
O 5.430 2.600 4.516
C 6.745 2.678 4.524
C 2.394 1.463 1.704
O 1.079 1.541 1.712
O 3.112 3.625 4.938
O 7.622 3.330 10.744
Mg 2.427 2.660 11.124
C 1.956 2.193 7.933
```



Record 6
Pd2S9N4: relaxed, PBE-GGA.

energy of formation from the pure elements	0.085	eV/atom
calculated total energy	-5.21	eV/atom
symmetry	R-3, No. 148

The structure in extended XYZ format:
```
90
Lattice="9.921 -16.746 0.000 9.921 16.746 0.000 -18.344 0.000 6.508" Properties=species:S:1:pos:R:3 pbc="T T T"
N -9.830 2.176 5.592
N -6.293 13.593 5.777
N 1.849 -13.310 2.756
S -3.104 6.322 3.760
S 3.469 -2.788 4.259
Pd -10.822 -0.871 5.714
S -1.971 2.788 2.249
S -10.537 -9.168 5.875
Pd 7.203 -9.808 1.563
Pd -8.826 -10.729 6.465
S 0.603 -4.980 2.108
S 4.283 6.511 2.823
S 6.885 -2.882 0.338
Pd -13.423 3.340 5.512
S 1.878 -7.186 4.498
N 4.171 -10.470 2.368
N 3.094 12.045 3.282
S 2.278 3.494 4.534
Pd -3.188 14.069 5.166
S -3.140 -2.589 5.330
N 7.843 8.295 1.522
S -0.618 -11.445 4.310
N -6.344 -8.295 4.986
N 16.038 -0.364 0.635
S 12.036 9.168 0.633
S 1.284 4.589 0.610
S 6.676 9.005 0.636
Pd -4.234 -10.679 4.607
S 0.214 -4.589 5.898
S 5.717 1.329 4.631
Pd 10.324 10.729 0.044
S -3.475 10.013 5.481
Pd 5.733 10.679 1.902
N -0.350 13.310 3.752
S 3.156 8.047 3.527
S -1.657 -8.047 2.981
N 11.328 -2.176 0.917
S 4.603 -6.322 2.749
S -5.387 2.882 6.171
S 14.137 -5.451 0.194
S 8.473 2.046 0.649
S -0.379 7.186 2.011
S 6.743 4.304 3.378
N -10.402 -4.049 6.390
S -0.779 -3.494 1.975
S -3.767 2.391 3.114
S -5.244 -4.304 3.131
S 2.117 11.445 2.198
S -2.784 -6.511 3.686
S 3.927 0.706 0.891
S -1.337 14.619 3.757
N 11.901 4.049 0.119
Pd 12.321 0.871 0.795
N -6.906 -13.230 5.918
S 9.482 -7.082 0.503
S -6.387 -0.189 5.280
N -11.114 5.630 5.741
S -5.110 6.001 3.776
N -9.854 -7.680 5.940
S -6.974 -2.046 5.860
S 0.896 4.980 4.400
N -14.539 0.364 5.873
S -2.429 -0.706 5.617
Pd 4.687 -14.069 1.342
S -12.638 5.451 6.315
S 6.609 -6.001 2.732
S -4.218 -1.329 1.877
S 4.974 -10.013 1.028
N 12.612 -5.630 0.767
N -1.595 -12.045 3.226
S 4.638 2.589 1.179
S 7.886 0.189 1.229
S 11.723 -1.009 1.981
S -5.178 -9.005 5.873
N 7.791 -13.593 0.732
N -2.672 10.470 4.140
S -9.836 -4.364 4.951
N 9.929 -7.996 1.708
Pd 14.921 -3.340 0.997
S 11.335 4.364 1.558
S 2.836 -14.619 2.752
S -7.983 7.082 6.006
S 5.266 -2.391 3.394
N -8.430 7.996 4.800
S -2.030 3.260 6.415
N 8.405 13.230 0.590
N 11.352 7.680 0.568
S -10.225 1.009 4.528
Pd -5.704 9.808 4.945
S 3.528 -3.260 0.094
```



Record 7
RbSeBr3: relaxed, PBE-GGA.

energy of formation from the pure elements	-1.096	eV/atom
calculated total energy	-2.65	eV/atom
symmetry	P2_1/m, No. 11

The structure in extended XYZ format:
```
10
Lattice="-3.607 -6.956 -4.875 4.390 -3.336 1.513 -3.082 -2.774 6.238" Properties=species:S:1:pos:R:3 pbc="T T T"
Br -2.384 -6.038 -2.723
Br 0.526 -6.531 0.673
Se -1.803 -3.478 -2.437
Rb -1.232 -3.504 1.544
Br -2.826 -6.535 2.204
Br 0.084 -7.028 5.599
Br -4.432 -9.633 0.033
Br 2.133 -3.433 2.844
Rb -1.067 -9.563 1.333
Se 0.000 0.000 0.000
```



Record 8
BaCdS2: relaxed, PBE-GGA.

energy of formation from the pure elements	-1.593	eV/atom
calculated total energy	-4.12	eV/atom
symmetry	Pnma, No. 62

The structure in extended XYZ format:
```
16
Lattice="-1.822 -1.138 3.639 -4.427 -4.735 -3.698 9.697 -10.333 1.623" Properties=species:S:1:pos:R:3 pbc="T T T"
Ba 4.159 -8.203 3.197
Ba -0.623 -3.370 -0.139
S 0.598 -3.676 2.830
S 3.056 -6.259 0.800
S 6.871 -12.126 3.328
S -1.379 -6.296 1.021
Ba 4.071 -12.837 1.704
Ba -0.710 -8.003 -1.632
Cd 0.885 -6.340 2.140
S 0.392 -9.948 0.765
Cd 2.564 -9.867 -0.575
Cd -3.875 -5.995 -0.135
S -3.423 -4.081 -1.763
Cd 7.323 -10.212 1.700
S 2.851 -12.531 -1.265
S 4.827 -9.911 0.544
```